No. 1
# Mg7Si4 (PBE, relaxed)
# E (MP2020) in eV per atom: -2.883
# Polymorph energy (0 for the lowest one) in eV/atom: 0.058
# Size of the total moment in Bohr magnetons per cell: 0.0
# ΔH_f (0 K) in eV per atom: 0.1082
data_Mg7Si4
_cell_length_a 5.173
_cell_length_b 6.206
_cell_length_c 14.415
_cell_angle_alpha 83.91
_cell_angle_beta 80.07
_cell_angle_gamma 78.51
_space_group_name_H-M_alt 'P 1'
_space_group_IT_number 1
loop_
_space_group_symop_operation_xyz
'x,y,z'
loop_
_atom_site_label
_atom_site_type_symbol
_atom_site_fract_x
_atom_site_fract_y
_atom_site_fract_z
Mg1 Mg 0.827 0.791 0.545
Si1 Si 0.371 0.433 0.277
Mg2 Mg 0.870 0.681 0.004
Si2 Si 0.096 0.132 0.752
Si3 Si 0.700 0.367 0.129
Si4 Si 0.245 0.958 0.598
Si5 Si 0.376 0.015 0.276
Mg3 Mg 0.797 0.197 0.942
Mg4 Mg 0.310 0.422 0.853
Si6 Si 0.782 0.481 0.724
Mg5 Mg 0.250 0.249 0.080
Mg6 Mg 0.368 0.908 0.903
Mg7 Mg 0.904 0.317 0.524
Mg8 Mg 0.477 0.169 0.442
Si7 Si 0.740 0.967 0.140
Mg9 Mg 0.897 0.314 0.296
Mg10 Mg 0.625 0.072 0.702
Mg11 Mg 0.311 0.515 0.638
Mg12 Mg 0.420 0.673 0.426
Si8 Si 0.906 0.779 0.815
Mg13 Mg 0.295 0.751 0.125
Mg14 Mg 0.931 0.810 0.316


No. 2
# Pb4CCl6O4 (PBE, relaxed)
# E (MP2020) in eV per atom: -4.838
# Size of the total moment in Bohr magnetons per cell: 4.0
# ΔH_f (0 K) in eV per atom: -1.1734
data_Pb4CCl6O4
_cell_length_a 9.333
_cell_length_b 4.260
_cell_length_c 16.596
_cell_angle_alpha 86.80
_cell_angle_beta 90.00
_cell_angle_gamma 90.00
_space_group_name_H-M_alt 'P 1'
_space_group_IT_number 1
loop_
_space_group_symop_operation_xyz
'x,y,z'
loop_
_atom_site_label
_atom_site_type_symbol
_atom_site_fract_x
_atom_site_fract_y
_atom_site_fract_z
Cl1 Cl 0.472 0.734 0.583
O1 O 0.750 0.821 0.785
O2 O 0.128 0.790 0.279
O3 O 0.750 0.249 0.545
Cl2 Cl 0.028 0.734 0.583
O4 O 0.372 0.790 0.279
O5 O 0.628 0.210 0.721
O6 O 0.872 0.210 0.721
O7 O 0.250 0.751 0.455
Cl3 Cl 0.449 0.730 0.085
Cl4 Cl 0.250 0.760 0.892
C1 C 0.750 0.091 0.742
Cl5 Cl 0.972 0.266 0.417
Pb1 Pb 0.494 0.683 0.763
Pb2 Pb 0.006 0.683 0.763
Pb3 Pb 0.506 0.317 0.237
C2 C 0.250 0.909 0.258
Cl6 Cl 0.750 0.240 0.108
Pb4 Pb 0.750 0.763 0.474
Pb5 Pb 0.250 0.248 0.013
Pb6 Pb 0.250 0.237 0.526
Pb7 Pb 0.994 0.317 0.237
O8 O 0.250 0.179 0.215
Cl7 Cl 0.949 0.270 0.915
Cl8 Cl 0.528 0.266 0.417
Cl9 Cl 0.750 0.787 0.289
Cl10 Cl 0.051 0.730 0.085
Pb8 Pb 0.750 0.752 0.987
Cl11 Cl 0.250 0.213 0.711
Cl12 Cl 0.551 0.270 0.915


No. 3
# MgSi2 (PBE, relaxed)
# E (MP2020) in eV per atom: -4.015
# Polymorph energy (0 for the lowest one) in eV/atom: 0.058
# Size of the total moment in Bohr magnetons per cell: 0.0
# ΔH_f (0 K) in eV per atom: 0.1353
data_MgSi2
_cell_length_a 5.554
_cell_length_b 5.554
_cell_length_c 12.307
_cell_angle_alpha 71.96
_cell_angle_beta 71.96
_cell_angle_gamma 38.86
_space_group_name_H-M_alt 'P 1'
_space_group_IT_number 1
loop_
_space_group_symop_operation_xyz
'x,y,z'
loop_
_atom_site_label
_atom_site_type_symbol
_atom_site_fract_x
_atom_site_fract_y
_atom_site_fract_z
Si1 Si 0.044 0.044 0.327
Mg1 Mg 0.701 0.701 0.137
Si2 Si 0.198 0.198 0.566
Si3 Si 0.477 0.477 0.049
Mg2 Mg 0.819 0.819 0.675
Si4 Si 0.948 0.948 0.174
Mg3 Mg 0.044 0.044 0.807
Mg4 Mg 0.740 0.740 0.376
Si5 Si 0.334 0.334 0.930
Si6 Si 0.700 0.700 0.909
Si7 Si 0.542 0.542 0.601
Si8 Si 0.439 0.439 0.450


No. 4
# LiHoHg2 (PBE, relaxed)
# ΔH_f (0 K) in eV per atom: -0.4374
data_LiHoHg2
_cell_length_a 5.015
_cell_length_b 5.015
_cell_length_c 5.015
_cell_angle_alpha 60.00
_cell_angle_beta 60.00
_cell_angle_gamma 60.00
_space_group_name_H-M_alt 'P 1'
_space_group_IT_number 1
loop_
_space_group_symop_operation_xyz
'x,y,z'
loop_
_atom_site_label
_atom_site_type_symbol
_atom_site_fract_x
_atom_site_fract_y
_atom_site_fract_z
Ho1 Ho 0.500 0.500 0.500
Li1 Li 0.000 0.000 0.000
Hg1 Hg 0.750 0.750 0.750
Hg2 Hg 0.250 0.250 0.250


No. 5
# BaEuYSnO6 (PBE, relaxed)
# E (MP2020) in eV per atom: -8.147
# Polymorph energy (0 for the lowest one) in eV/atom: 0.095
# ΔH_f (0 K) in eV per atom: -2.9128
data_BaEuYSnO6
_cell_length_a 6.028
_cell_length_b 6.028
_cell_length_c 6.028
_cell_angle_alpha 60.00
_cell_angle_beta 60.00
_cell_angle_gamma 60.00
_space_group_name_H-M_alt 'P 1'
_space_group_IT_number 1
loop_
_space_group_symop_operation_xyz
'x,y,z'
loop_
_atom_site_label
_atom_site_type_symbol
_atom_site_fract_x
_atom_site_fract_y
_atom_site_fract_z
O1 O 0.242 0.758 0.242
O2 O 0.758 0.242 0.242
O3 O 0.758 0.758 0.242
O4 O 0.758 0.242 0.758
Eu1 Eu 0.250 0.250 0.250
O5 O 0.242 0.758 0.758
Ba1 Ba 0.750 0.750 0.750
O6 O 0.242 0.242 0.758
Sn1 Sn 0.000 0.000 0.000
Y1 Y 0.500 0.500 0.500


No. 6
# LaO (PBE, relaxed)
# E (MP2020) in eV per atom: -8.146
# ΔH_f (0 K) in eV per atom: -3.2043
data_LaO
_cell_length_a 3.647
_cell_length_b 3.647
_cell_length_c 3.647
_cell_angle_alpha 60.00
_cell_angle_beta 60.00
_cell_angle_gamma 60.00
_space_group_name_H-M_alt 'P 1'
_space_group_IT_number 1
loop_
_space_group_symop_operation_xyz
'x,y,z'
loop_
_atom_site_label
_atom_site_type_symbol
_atom_site_fract_x
_atom_site_fract_y
_atom_site_fract_z
O1 O 0.500 0.500 0.500
La1 La 0.000 0.000 0.000


No. 7
# ErGe2Os (PBE, relaxed)
# Size of the total moment in Bohr magnetons per cell: 0.0
# ΔH_f (0 K) in eV per atom: -0.5306
data_ErGe2Os
_cell_length_a 8.364
_cell_length_b 9.665
_cell_length_c 10.599
_cell_angle_alpha 90.00
_cell_angle_beta 90.00
_cell_angle_gamma 90.00
_space_group_name_H-M_alt 'P 1'
_space_group_IT_number 1
loop_
_space_group_symop_operation_xyz
'x,y,z'
loop_
_atom_site_label
_atom_site_type_symbol
_atom_site_fract_x
_atom_site_fract_y
_atom_site_fract_z
Os1 Os 0.251 0.089 0.262
Er1 Er 0.245 0.823 0.449
Er2 Er 0.755 0.823 0.449
Ge1 Ge 0.000 0.130 0.101
Os2 Os 0.751 0.500 0.500
Ge2 Ge 0.500 0.627 0.403
Ge3 Ge 0.000 0.963 0.619
Ge4 Ge 0.500 0.455 0.882
Os3 Os 0.251 0.911 0.738
Os4 Os 0.749 0.411 0.762
Ge5 Ge 0.348 0.842 0.179
Ge6 Ge 0.500 0.127 0.097
Er3 Er 0.000 0.164 0.823
Ge7 Ge 0.000 0.870 0.899
Ge8 Ge 0.000 0.037 0.381
Os5 Os 0.751 0.000 0.000
Ge9 Ge 0.000 0.463 0.881
Ge10 Ge 0.500 0.373 0.597
Er4 Er 0.000 0.664 0.677
Er5 Er 0.000 0.836 0.177
Er6 Er 0.000 0.336 0.323
Os6 Os 0.749 0.589 0.238
Er7 Er 0.755 0.177 0.551
Er8 Er 0.245 0.323 0.051
Ge11 Ge 0.652 0.158 0.821
Ge12 Ge 0.652 0.342 0.321
Ge13 Ge 0.000 0.630 0.399
Er9 Er 0.245 0.677 0.949
Ge14 Ge 0.500 0.045 0.382
Os7 Os 0.249 0.500 0.500
Ge15 Ge 0.500 0.873 0.903
Os8 Os 0.251 0.589 0.238
Er10 Er 0.755 0.323 0.051
Os9 Os 0.749 0.911 0.738
Ge16 Ge 0.348 0.158 0.821
Ge17 Ge 0.500 0.955 0.618
Ge18 Ge 0.348 0.342 0.321
Er11 Er 0.755 0.677 0.949
Ge19 Ge 0.652 0.842 0.179
Er12 Er 0.245 0.177 0.551
Os10 Os 0.249 0.000 0.000
Ge20 Ge 0.000 0.370 0.601
Ge21 Ge 0.000 0.537 0.119
Ge22 Ge 0.652 0.658 0.679
Ge23 Ge 0.348 0.658 0.679
Ge24 Ge 0.500 0.545 0.118
Os11 Os 0.251 0.411 0.762
Os12 Os 0.749 0.089 0.262


No. 8
# CsKMg30O31 (PBE, relaxed)
# E (MP2020) in eV per atom: -6.041
# Polymorph energy (0 for the lowest one) in eV/atom: 0.000
# Size of the total moment in Bohr magnetons per cell: 0.0
# ΔH_f (0 K) in eV per atom: -2.8127
data_CsKMg30O31
_cell_length_a 8.553
_cell_length_b 8.753
_cell_length_c 8.757
_cell_angle_alpha 90.00
_cell_angle_beta 90.00
_cell_angle_gamma 90.00
_space_group_name_H-M_alt 'P 1'
_space_group_IT_number 1
loop_
_space_group_symop_operation_xyz
'x,y,z'
loop_
_atom_site_label
_atom_site_type_symbol
_atom_site_fract_x
_atom_site_fract_y
_atom_site_fract_z
Mg1 Mg 0.498 0.751 0.749
Mg2 Mg 0.248 0.500 0.756
O1 O 0.255 0.500 0.000
Mg3 Mg 0.501 0.500 0.000
O2 O 0.275 0.000 0.000
Mg4 Mg 0.757 0.756 0.500
Mg5 Mg 0.498 0.249 0.749
Mg6 Mg 0.498 0.751 0.251
Cs1 Cs 0.126 0.000 0.500
O3 O 0.744 0.500 0.000
O4 O 0.723 0.000 0.000
Mg7 Mg 0.248 0.500 0.244
Mg8 Mg 0.746 0.750 0.000
Mg9 Mg 0.995 0.500 0.000
Mg10 Mg 0.988 0.500 0.500
Mg11 Mg 0.757 0.244 0.500
O5 O 0.247 0.248 0.748
O6 O 0.000 0.274 0.500
Mg12 Mg 0.747 0.500 0.249
O7 O 0.746 0.749 0.251
O8 O 0.993 0.000 0.741
Mg13 Mg 0.995 0.746 0.249
Mg14 Mg 0.753 0.000 0.744
O9 O 0.496 0.500 0.748
Mg15 Mg 0.747 0.500 0.751
Mg16 Mg 0.251 0.283 0.500
O10 O 0.496 0.500 0.252
Mg17 Mg 0.251 0.717 0.500
O11 O 0.247 0.752 0.252
O12 O 0.489 0.000 0.739
Mg18 Mg 0.506 0.500 0.500
Mg19 Mg 0.502 0.000 0.000
Mg20 Mg 0.498 0.249 0.251
O13 O 0.490 0.755 0.500
O14 O 0.247 0.752 0.748
Mg21 Mg 0.995 0.746 0.751
O15 O 0.490 0.245 0.500
O16 O 0.999 0.500 0.749
O17 O 0.257 0.500 0.500
O18 O 0.001 0.275 0.000
O19 O 0.746 0.251 0.251
Mg22 Mg 0.995 0.254 0.751
O20 O 0.001 0.725 0.000
O21 O 0.742 0.000 0.500
Mg23 Mg 0.249 0.259 0.000
Mg24 Mg 0.753 0.000 0.256
O22 O 0.743 0.500 0.500
O23 O 0.746 0.251 0.749
O24 O 0.999 0.500 0.251
Mg25 Mg 0.746 0.250 0.000
Mg26 Mg 0.995 0.254 0.249
O25 O 0.496 0.746 0.000
Mg27 Mg 0.251 0.000 0.782
O26 O 0.247 0.248 0.252
Mg28 Mg 0.516 0.000 0.500
O27 O 0.993 0.000 0.259
O28 O 0.746 0.749 0.749
K1 K 0.994 0.000 0.000
Mg29 Mg 0.249 0.741 0.000
O29 O 0.000 0.726 0.500
Mg30 Mg 0.251 0.000 0.218
O30 O 0.496 0.254 0.000
O31 O 0.489 0.000 0.261


No. 9
# KSO4 (PBE, relaxed)
# E (MP2020) in eV per atom: -5.968
# Size of the total moment in Bohr magnetons per cell: 0.0
# ΔH_f (0 K) in eV per atom: -1.7951
data_KSO4
_cell_length_a 5.162
_cell_length_b 5.857
_cell_length_c 7.027
_cell_angle_alpha 104.92
_cell_angle_beta 104.23
_cell_angle_gamma 91.83
_space_group_name_H-M_alt 'P 1'
_space_group_IT_number 1
loop_
_space_group_symop_operation_xyz
'x,y,z'
loop_
_atom_site_label
_atom_site_type_symbol
_atom_site_fract_x
_atom_site_fract_y
_atom_site_fract_z
O1 O 0.817 0.196 0.635
O2 O 0.183 0.804 0.365
O3 O 0.750 0.602 0.352
O4 O 0.250 0.398 0.648
O5 O 0.771 0.874 0.138
K1 K 0.592 0.807 0.721
O6 O 0.229 0.126 0.862
K2 K 0.408 0.193 0.279
O7 O 0.926 0.465 0.071
O8 O 0.074 0.535 0.929
S1 S 0.908 0.714 0.249
S2 S 0.092 0.286 0.751


No. 10
# Li4NCl (PBE, relaxed)
# E (MP2020) in eV per atom: -3.934
# ΔH_f (0 K) in eV per atom: -0.9640
data_Li4NCl
_cell_length_a 6.971
_cell_length_b 6.971
_cell_length_c 6.971
_cell_angle_alpha 30.43
_cell_angle_beta 30.43
_cell_angle_gamma 30.43
_space_group_name_H-M_alt 'P 1'
_space_group_IT_number 1
loop_
_space_group_symop_operation_xyz
'x,y,z'
loop_
_atom_site_label
_atom_site_type_symbol
_atom_site_fract_x
_atom_site_fract_y
_atom_site_fract_z
Li1 Li 0.345 0.345 0.345
N1 N 0.000 0.000 0.000
Li2 Li 0.097 0.097 0.097
Li3 Li 0.903 0.903 0.903
Li4 Li 0.655 0.655 0.655
Cl1 Cl 0.500 0.500 0.500


No. 11
# V4SiSb2 (PBE, relaxed)
# E (MP2020) in eV per atom: -7.503
# Size of the total moment in Bohr magnetons per cell: 0.7
# ΔH_f (0 K) in eV per atom: -0.3575
data_V4SiSb2
_cell_length_a 7.361
_cell_length_b 7.361
_cell_length_c 7.361
_cell_angle_alpha 95.83
_cell_angle_beta 95.83
_cell_angle_gamma 142.82
_space_group_name_H-M_alt 'P 1'
_space_group_IT_number 1
loop_
_space_group_symop_operation_xyz
'x,y,z'
loop_
_atom_site_label
_atom_site_type_symbol
_atom_site_fract_x
_atom_site_fract_y
_atom_site_fract_z
Sb1 Sb 0.141 0.641 0.782
Sb2 Sb 0.641 0.859 0.500
V1 V 0.415 0.705 0.121
V2 V 0.585 0.295 0.879
V3 V 0.795 0.085 0.879
V4 V 0.295 0.415 0.710
Sb3 Sb 0.359 0.141 0.500
V5 V 0.205 0.915 0.121
V6 V 0.705 0.585 0.290
V7 V 0.915 0.795 0.710
Si1 Si 0.750 0.750 0.000
Si2 Si 0.250 0.250 0.000
Sb4 Sb 0.859 0.359 0.218
V8 V 0.085 0.205 0.290


No. 12
# MgCl2 (PBE, relaxed)
# E (MP2020) in eV per atom: -4.031
# ΔH_f (0 K) in eV per atom: -2.2655
data_MgCl2
_cell_length_a 3.676
_cell_length_b 3.676
_cell_length_c 6.908
_cell_angle_alpha 74.57
_cell_angle_beta 74.57
_cell_angle_gamma 60.00
_space_group_name_H-M_alt 'P 1'
_space_group_IT_number 1
loop_
_space_group_symop_operation_xyz
'x,y,z'
loop_
_atom_site_label
_atom_site_type_symbol
_atom_site_fract_x
_atom_site_fract_y
_atom_site_fract_z
Mg1 Mg 0.000 0.000 0.000
Cl1 Cl 0.736 0.736 0.791
Cl2 Cl 0.264 0.264 0.209


No. 13
# Ba2HgS5 (PBE, relaxed)
# E (MP2020) in eV per atom: -4.551
# ΔH_f (0 K) in eV per atom: -1.4482
data_Ba2HgS5
_cell_length_a 8.508
_cell_length_b 8.833
_cell_length_c 12.337
_cell_angle_alpha 90.00
_cell_angle_beta 90.00
_cell_angle_gamma 90.00
_space_group_name_H-M_alt 'P 1'
_space_group_IT_number 1
loop_
_space_group_symop_operation_xyz
'x,y,z'
loop_
_atom_site_label
_atom_site_type_symbol
_atom_site_fract_x
_atom_site_fract_y
_atom_site_fract_z
Ba1 Ba 0.143 0.006 0.689
S1 S 0.807 0.947 0.567
S2 S 0.807 0.553 0.567
S3 S 0.070 0.250 0.472
S4 S 0.091 0.750 0.194
S5 S 0.430 0.250 0.972
S6 S 0.057 0.250 0.178
Ba2 Ba 0.643 0.994 0.811
Ba3 Ba 0.357 0.006 0.189
S7 S 0.557 0.750 0.322
Ba4 Ba 0.143 0.494 0.689
S8 S 0.307 0.447 0.933
S9 S 0.693 0.947 0.067
S10 S 0.930 0.750 0.528
Ba5 Ba 0.357 0.494 0.189
S11 S 0.443 0.250 0.678
S12 S 0.693 0.553 0.067
S13 S 0.943 0.750 0.822
S14 S 0.307 0.053 0.933
S15 S 0.570 0.750 0.028
Ba6 Ba 0.643 0.506 0.811
S16 S 0.193 0.447 0.433
S17 S 0.591 0.250 0.306
Ba7 Ba 0.857 0.506 0.311
Ba8 Ba 0.857 0.994 0.311
Hg1 Hg 0.512 0.250 0.491
S18 S 0.909 0.250 0.806
Hg2 Hg 0.988 0.250 0.991
S19 S 0.193 0.053 0.433
S20 S 0.409 0.750 0.694
Hg3 Hg 0.488 0.750 0.509
Hg4 Hg 0.012 0.750 0.009


No. 14
# AsAuO3 (PBE, relaxed)
# E (MP2020) in eV per atom: -5.633
# Size of the total moment in Bohr magnetons per cell: 0.0
# ΔH_f (0 K) in eV per atom: -1.0774
data_AsAuO3
_cell_length_a 8.361
_cell_length_b 8.361
_cell_length_c 5.172
_cell_angle_alpha 78.35
_cell_angle_beta 78.35
_cell_angle_gamma 80.96
_space_group_name_H-M_alt 'P 1'
_space_group_IT_number 1
loop_
_space_group_symop_operation_xyz
'x,y,z'
loop_
_atom_site_label
_atom_site_type_symbol
_atom_site_fract_x
_atom_site_fract_y
_atom_site_fract_z
As1 As 0.373 0.203 0.162
O1 O 0.076 0.232 0.811
O2 O 0.232 0.076 0.311
As2 As 0.203 0.373 0.662
Au1 Au 0.914 0.086 0.750
O3 O 0.570 0.122 0.188
O4 O 0.693 0.618 0.679
O5 O 0.618 0.693 0.179
O6 O 0.768 0.924 0.689
O7 O 0.924 0.768 0.189
As3 As 0.627 0.797 0.838
O8 O 0.122 0.570 0.688
Au2 Au 0.086 0.914 0.250
O9 O 0.307 0.382 0.321
O10 O 0.430 0.878 0.812
As4 As 0.797 0.627 0.338
Au3 Au 0.726 0.274 0.250
O11 O 0.878 0.430 0.312
O12 O 0.382 0.307 0.821
Au4 Au 0.274 0.726 0.750


No. 15
# RbEr2Cu3Se5 (PBE, relaxed)
# E (MP2020) in eV per atom: -4.950
# Size of the total moment in Bohr magnetons per cell: 0.0
# ΔH_f (0 K) in eV per atom: -1.3235
data_RbEr2Cu3Se5
_cell_length_a 7.554
_cell_length_b 7.554
_cell_length_c 17.050
_cell_angle_alpha 90.00
_cell_angle_beta 90.00
_cell_angle_gamma 148.44
_space_group_name_H-M_alt 'P 1'
_space_group_IT_number 1
loop_
_space_group_symop_operation_xyz
'x,y,z'
loop_
_atom_site_label
_atom_site_type_symbol
_atom_site_fract_x
_atom_site_fract_y
_atom_site_fract_z
Cu1 Cu 0.841 0.159 0.750
Se1 Se 0.667 0.333 0.929
Se2 Se 0.060 0.940 0.384
Er1 Er 0.308 0.692 0.908
Cu2 Cu 0.916 0.084 0.470
Se3 Se 0.060 0.940 0.116
Se4 Se 0.940 0.060 0.616
Se5 Se 0.940 0.060 0.884
Er2 Er 0.692 0.308 0.092
Rb1 Rb 0.561 0.439 0.750
Cu3 Cu 0.159 0.841 0.250
Er3 Er 0.308 0.692 0.592
Se6 Se 0.333 0.667 0.071
Er4 Er 0.692 0.308 0.408
Se7 Se 0.333 0.667 0.429
Se8 Se 0.667 0.333 0.571
Rb2 Rb 0.439 0.561 0.250
Se9 Se 0.745 0.255 0.250
Cu4 Cu 0.916 0.084 0.030
Cu5 Cu 0.084 0.916 0.530
Cu6 Cu 0.084 0.916 0.970
Se10 Se 0.255 0.745 0.750